8
Lattice="1.662 4.635 -5.120 -6.781 -1.824 1.076 -0.572 4.329 3.733" Properties=species:S:1:pos:R:3 comment="Pm3Zr, relaxed, DFT PBE" magmom_total_mub_per_atom=0.00 formation_enthalpy_0k_kj_per_mol_atoms=12.7 pbc="T T T"
Pm -4.668 2.614 -1.535
Pm -2.188 1.252 0.423
Pm -3.502 5.888 -0.734
Pm -1.023 4.527 1.225
Pm -5.472 0.369 0.945
Pm -0.218 6.772 -1.255
Zr -4.395 3.576 1.811
Zr -1.295 3.564 -2.121